[1]
The following is a PBE calculation of a relaxed structure of H26OsC6S6Br3N12O, from the Materials Project database.

symmetry	Pccn
E_form	-0.364	eV per atom
M_tot	4.4	μB per cell

Unit cell a=11.674 b=20.740 c=12.309 alpha=90.00 beta=90.00 gamma=90.00
Sites, in units of the cell vectors:
H (0.719, 0.282, 0.799)
H (0.781, 0.218, 0.799)
H (0.281, 0.782, 0.701)
H (0.219, 0.718, 0.701)
H (0.281, 0.718, 0.201)
H (0.219, 0.782, 0.201)
H (0.719, 0.218, 0.299)
H (0.781, 0.282, 0.299)
H (0.455, 0.132, 0.386)
H (0.045, 0.368, 0.386)
H (0.545, 0.632, 0.114)
H (0.955, 0.868, 0.114)
H (0.545, 0.868, 0.614)
H (0.955, 0.632, 0.614)
H (0.455, 0.368, 0.886)
H (0.045, 0.132, 0.886)
H (0.457, 0.216, 0.399)
H (0.043, 0.284, 0.399)
H (0.543, 0.716, 0.101)
H (0.957, 0.784, 0.101)
H (0.543, 0.784, 0.601)
H (0.957, 0.716, 0.601)
H (0.457, 0.284, 0.899)
H (0.043, 0.216, 0.899)
H (0.647, 0.216, 0.624)
H (0.853, 0.284, 0.624)
H (0.353, 0.716, 0.876)
H (0.147, 0.784, 0.876)
H (0.353, 0.784, 0.376)
H (0.147, 0.716, 0.376)
H (0.647, 0.284, 0.124)
H (0.853, 0.216, 0.124)
H (0.583, 0.265, 0.521)
H (0.917, 0.235, 0.521)
H (0.417, 0.765, 0.979)
H (0.083, 0.735, 0.979)
H (0.417, 0.735, 0.479)
H (0.083, 0.765, 0.479)
H (0.583, 0.235, 0.021)
H (0.917, 0.265, 0.021)
H (0.853, 0.859, 0.482)
H (0.647, 0.641, 0.482)
H (0.147, 0.359, 0.018)
H (0.353, 0.141, 0.018)
H (0.147, 0.141, 0.518)
H (0.353, 0.359, 0.518)
H (0.853, 0.641, 0.982)
H (0.647, 0.859, 0.982)
H (0.819, 0.821, 0.357)
H (0.681, 0.679, 0.357)
H (0.181, 0.321, 0.143)
H (0.319, 0.179, 0.143)
H (0.181, 0.179, 0.643)
H (0.319, 0.321, 0.643)
H (0.819, 0.679, 0.857)
H (0.681, 0.821, 0.857)
H (0.579, 0.916, 0.298)
H (0.921, 0.584, 0.298)
H (0.421, 0.416, 0.202)
H (0.079, 0.084, 0.202)
H (0.421, 0.084, 0.702)
H (0.079, 0.416, 0.702)
H (0.579, 0.584, 0.798)
H (0.921, 0.916, 0.798)
H (0.666, 0.851, 0.259)
H (0.834, 0.649, 0.259)
H (0.334, 0.351, 0.241)
H (0.166, 0.149, 0.241)
H (0.334, 0.149, 0.741)
H (0.166, 0.351, 0.741)
H (0.666, 0.649, 0.759)
H (0.834, 0.851, 0.759)
H (0.279, 0.953, 0.625)
H (0.221, 0.547, 0.625)
H (0.721, 0.453, 0.875)
H (0.779, 0.047, 0.875)
H (0.721, 0.047, 0.375)
H (0.779, 0.453, 0.375)
H (0.279, 0.547, 0.125)
H (0.221, 0.953, 0.125)
H (0.220, 0.918, 0.741)
H (0.280, 0.582, 0.741)
H (0.780, 0.418, 0.759)
H (0.720, 0.082, 0.759)
H (0.780, 0.082, 0.259)
H (0.720, 0.418, 0.259)
H (0.220, 0.582, 0.241)
H (0.280, 0.918, 0.241)
H (0.478, 0.925, 0.893)
H (0.022, 0.575, 0.893)
H (0.522, 0.425, 0.607)
H (0.978, 0.075, 0.607)
H (0.522, 0.075, 0.107)
H (0.978, 0.425, 0.107)
H (0.478, 0.575, 0.393)
H (0.022, 0.925, 0.393)
H (0.335, 0.906, 0.900)
H (0.165, 0.594, 0.900)
H (0.665, 0.406, 0.600)
H (0.835, 0.094, 0.600)
H (0.665, 0.094, 0.100)
H (0.835, 0.406, 0.100)
H (0.335, 0.594, 0.400)
H (0.165, 0.906, 0.400)
Os (0.500, 0.000, 0.500)
Os (0.000, 0.500, 0.500)
Os (0.500, 0.500, 0.000)
Os (0.000, 0.000, 0.000)
C (0.558, 0.167, 0.507)
C (0.942, 0.333, 0.507)
C (0.442, 0.667, 0.993)
C (0.058, 0.833, 0.993)
C (0.442, 0.833, 0.493)
C (0.058, 0.667, 0.493)
C (0.558, 0.333, 0.007)
C (0.942, 0.167, 0.007)
C (0.714, 0.896, 0.399)
C (0.786, 0.604, 0.399)
C (0.286, 0.396, 0.101)
C (0.214, 0.104, 0.101)
C (0.286, 0.104, 0.601)
C (0.214, 0.396, 0.601)
C (0.714, 0.604, 0.899)
C (0.786, 0.896, 0.899)
C (0.391, 0.943, 0.752)
C (0.109, 0.557, 0.752)
C (0.609, 0.443, 0.748)
C (0.891, 0.057, 0.748)
C (0.609, 0.057, 0.248)
C (0.891, 0.443, 0.248)
C (0.391, 0.557, 0.252)
C (0.109, 0.943, 0.252)
S (0.603, 0.093, 0.558)
S (0.897, 0.407, 0.558)
S (0.397, 0.593, 0.942)
S (0.103, 0.907, 0.942)
S (0.397, 0.907, 0.442)
S (0.103, 0.593, 0.442)
S (0.603, 0.407, 0.058)
S (0.897, 0.093, 0.058)
S (0.686, 0.951, 0.501)
S (0.814, 0.549, 0.501)
S (0.314, 0.451, 0.999)
S (0.186, 0.049, 0.999)
S (0.314, 0.049, 0.499)
S (0.186, 0.451, 0.499)
S (0.686, 0.549, 0.001)
S (0.814, 0.951, 0.001)
S (0.512, 0.974, 0.692)
S (0.988, 0.526, 0.692)
S (0.488, 0.474, 0.808)
S (0.012, 0.026, 0.808)
S (0.488, 0.026, 0.308)
S (0.012, 0.474, 0.308)
S (0.512, 0.526, 0.192)
S (0.988, 0.974, 0.192)
Br (0.250, 0.250, 0.297)
Br (0.750, 0.750, 0.203)
Br (0.750, 0.750, 0.703)
Br (0.250, 0.250, 0.797)
Br (0.548, 0.350, 0.408)
Br (0.952, 0.150, 0.408)
Br (0.452, 0.850, 0.092)
Br (0.048, 0.650, 0.092)
Br (0.452, 0.650, 0.592)
Br (0.048, 0.850, 0.592)
Br (0.548, 0.150, 0.908)
Br (0.952, 0.350, 0.908)
N (0.488, 0.172, 0.422)
N (0.012, 0.328, 0.422)
N (0.512, 0.672, 0.078)
N (0.988, 0.828, 0.078)
N (0.512, 0.828, 0.578)
N (0.988, 0.672, 0.578)
N (0.488, 0.328, 0.922)
N (0.012, 0.172, 0.922)
N (0.598, 0.220, 0.555)
N (0.902, 0.280, 0.555)
N (0.402, 0.720, 0.945)
N (0.098, 0.780, 0.945)
N (0.402, 0.780, 0.445)
N (0.098, 0.720, 0.445)
N (0.598, 0.280, 0.055)
N (0.902, 0.220, 0.055)
N (0.807, 0.858, 0.412)
N (0.693, 0.642, 0.412)
N (0.193, 0.358, 0.088)
N (0.307, 0.142, 0.088)
N (0.193, 0.142, 0.588)
N (0.307, 0.358, 0.588)
N (0.807, 0.642, 0.912)
N (0.693, 0.858, 0.912)
N (0.649, 0.888, 0.312)
N (0.851, 0.612, 0.312)
N (0.351, 0.388, 0.188)
N (0.149, 0.112, 0.188)
N (0.351, 0.112, 0.688)
N (0.149, 0.388, 0.688)
N (0.649, 0.612, 0.812)
N (0.851, 0.888, 0.812)
N (0.290, 0.937, 0.703)
N (0.210, 0.563, 0.703)
N (0.710, 0.437, 0.797)
N (0.790, 0.063, 0.797)
N (0.710, 0.063, 0.297)
N (0.790, 0.437, 0.297)
N (0.290, 0.563, 0.203)
N (0.210, 0.937, 0.203)
N (0.402, 0.922, 0.855)
N (0.098, 0.578, 0.855)
N (0.598, 0.422, 0.645)
N (0.902, 0.078, 0.645)
N (0.598, 0.078, 0.145)
N (0.902, 0.422, 0.145)
N (0.402, 0.578, 0.355)
N (0.098, 0.922, 0.355)
O (0.750, 0.250, 0.749)
O (0.250, 0.750, 0.751)
O (0.250, 0.750, 0.251)
O (0.750, 0.250, 0.249)

[2]
The following is a PBE calculation of a relaxed structure of K5YO4, from the Materials Project database.

symmetry	Pbca
E_form	-1.976	eV per atom
M_tot	0.0	μB per cell
relative energy among the computed polymorphs	10.7	meV per atom

Unit cell a=6.975 b=12.123 c=21.242 alpha=90.00 beta=90.00 gamma=90.00
Sites, in units of the cell vectors:
K (0.900, 0.929, 0.436)
K (0.600, 0.929, 0.936)
K (0.392, 0.915, 0.749)
K (0.108, 0.915, 0.249)
K (0.095, 0.834, 0.003)
K (0.405, 0.834, 0.503)
K (0.608, 0.825, 0.326)
K (0.892, 0.825, 0.826)
K (0.416, 0.804, 0.138)
K (0.084, 0.804, 0.638)
K (0.916, 0.696, 0.138)
K (0.584, 0.696, 0.638)
K (0.108, 0.675, 0.326)
K (0.392, 0.675, 0.826)
K (0.595, 0.666, 0.003)
K (0.905, 0.666, 0.503)
K (0.608, 0.585, 0.249)
K (0.892, 0.585, 0.749)
K (0.100, 0.571, 0.936)
K (0.400, 0.571, 0.436)
K (0.900, 0.429, 0.064)
K (0.600, 0.429, 0.564)
K (0.108, 0.415, 0.251)
K (0.392, 0.415, 0.751)
K (0.405, 0.334, 0.997)
K (0.095, 0.334, 0.497)
K (0.892, 0.325, 0.674)
K (0.608, 0.325, 0.174)
K (0.416, 0.304, 0.362)
K (0.084, 0.304, 0.862)
K (0.916, 0.196, 0.362)
K (0.584, 0.196, 0.862)
K (0.392, 0.175, 0.674)
K (0.108, 0.175, 0.174)
K (0.595, 0.166, 0.497)
K (0.905, 0.166, 0.997)
K (0.608, 0.085, 0.251)
K (0.892, 0.085, 0.751)
K (0.100, 0.071, 0.564)
K (0.400, 0.071, 0.064)
Y (0.823, 0.963, 0.123)
Y (0.677, 0.963, 0.623)
Y (0.323, 0.537, 0.123)
Y (0.177, 0.537, 0.623)
Y (0.677, 0.463, 0.877)
Y (0.823, 0.463, 0.377)
Y (0.323, 0.037, 0.377)
Y (0.177, 0.037, 0.877)
O (0.132, 0.953, 0.120)
O (0.368, 0.953, 0.620)
O (0.766, 0.881, 0.709)
O (0.734, 0.881, 0.209)
O (0.701, 0.866, 0.047)
O (0.799, 0.866, 0.547)
O (0.238, 0.865, 0.376)
O (0.262, 0.865, 0.876)
O (0.762, 0.635, 0.876)
O (0.738, 0.635, 0.376)
O (0.201, 0.634, 0.047)
O (0.299, 0.634, 0.547)
O (0.234, 0.619, 0.209)
O (0.266, 0.619, 0.709)
O (0.632, 0.547, 0.120)
O (0.868, 0.547, 0.620)
O (0.368, 0.453, 0.880)
O (0.132, 0.453, 0.380)
O (0.734, 0.381, 0.291)
O (0.766, 0.381, 0.791)
O (0.799, 0.366, 0.953)
O (0.701, 0.366, 0.453)
O (0.262, 0.365, 0.624)
O (0.238, 0.365, 0.124)
O (0.762, 0.135, 0.624)
O (0.738, 0.135, 0.124)
O (0.201, 0.134, 0.453)
O (0.299, 0.134, 0.953)
O (0.234, 0.119, 0.291)
O (0.266, 0.119, 0.791)
O (0.632, 0.047, 0.380)
O (0.868, 0.047, 0.880)

[3]
The following is a PBE calculation of a relaxed structure of Tl2Hg2PdCl8, from the Materials Project database.

symmetry	C2/m
E_form	-1.102	eV per atom
M_tot	0.0	μB per cell

Unit cell a=6.760 b=6.760 c=10.150 alpha=73.80 beta=73.80 gamma=61.96
Sites, in units of the cell vectors:
Tl (0.397, 0.397, 0.842)
Tl (0.603, 0.603, 0.158)
Hg (0.134, 0.134, 0.600)
Hg (0.866, 0.866, 0.400)
Pd (0.000, 0.000, 0.000)
Cl (0.369, 0.898, 0.874)
Cl (0.898, 0.369, 0.874)
Cl (0.347, 0.347, 0.498)
Cl (0.631, 0.102, 0.126)
Cl (0.920, 0.920, 0.691)
Cl (0.653, 0.653, 0.502)
Cl (0.102, 0.631, 0.126)
Cl (0.080, 0.080, 0.309)

[4]
The following is a PBE calculation of a relaxed structure of BeNi3, from the Materials Project database.

symmetry	I4/mmm
E_form	-0.159	eV per atom
M_tot	0.9	μB per cell

Unit cell a=4.150 b=4.150 c=4.150 alpha=130.72 beta=130.72 gamma=72.27
Sites, in units of the cell vectors:
Be (0.000, 0.000, 0.000)
Ni (0.750, 0.250, 0.500)
Ni (0.250, 0.750, 0.500)
Ni (0.500, 0.500, 0.000)

[5]
The following is a PBE calculation of a relaxed structure of RbMg6Cr, from the Materials Project database.

E_form	0.420	eV per atom
M_tot	8.8	μB per cell
relative energy among the computed polymorphs	0.0	meV per atom

Unit cell a=5.242 b=6.883 c=11.929 alpha=90.00 beta=90.00 gamma=90.00
Sites, in units of the cell vectors:
Rb (0.000, 0.500, 0.339)
Rb (0.000, 0.000, 0.839)
Mg (0.000, 0.272, 0.089)
Mg (0.000, 0.728, 0.089)
Mg (0.000, 0.000, 0.330)
Mg (0.500, 0.779, 0.428)
Mg (0.500, 0.221, 0.428)
Mg (0.500, 0.000, 0.164)
Mg (0.000, 0.772, 0.589)
Mg (0.000, 0.228, 0.589)
Mg (0.000, 0.500, 0.830)
Mg (0.500, 0.279, 0.928)
Mg (0.500, 0.721, 0.928)
Mg (0.500, 0.500, 0.664)
Cr (0.500, 0.500, 0.135)
Cr (0.500, 0.000, 0.635)

[6]
The following is a PBE calculation of a relaxed structure of SnC3I8N6, from the Materials Project database.

symmetry	P2_1/c
E_form	0.550	eV per atom
M_tot	24.0	μB per cell

Unit cell a=20.315 b=6.450 c=20.153 alpha=84.25 beta=90.00 gamma=90.00
Sites, in units of the cell vectors:
Sn (0.379, 0.955, 0.737)
Sn (0.879, 0.045, 0.763)
Sn (0.621, 0.045, 0.263)
Sn (0.121, 0.955, 0.237)
C (0.154, 0.361, 0.745)
C (0.654, 0.639, 0.755)
C (0.846, 0.639, 0.255)
C (0.346, 0.361, 0.245)
C (0.113, 0.582, 0.472)
C (0.613, 0.418, 0.028)
C (0.887, 0.418, 0.528)
C (0.387, 0.582, 0.972)
C (0.401, 0.309, 0.523)
C (0.901, 0.691, 0.977)
C (0.599, 0.691, 0.477)
C (0.099, 0.309, 0.023)
I (0.356, 0.402, 0.748)
I (0.856, 0.598, 0.752)
I (0.644, 0.598, 0.252)
I (0.144, 0.402, 0.248)
I (0.258, 0.913, 0.629)
I (0.758, 0.087, 0.871)
I (0.742, 0.087, 0.371)
I (0.242, 0.913, 0.129)
I (0.482, 0.944, 0.647)
I (0.982, 0.056, 0.853)
I (0.518, 0.056, 0.353)
I (0.018, 0.944, 0.147)
I (0.482, 0.968, 0.866)
I (0.982, 0.032, 0.634)
I (0.518, 0.032, 0.134)
I (0.018, 0.968, 0.366)
I (0.241, 0.956, 0.860)
I (0.741, 0.044, 0.640)
I (0.759, 0.044, 0.140)
I (0.259, 0.956, 0.360)
I (0.062, 0.722, 0.684)
I (0.562, 0.278, 0.816)
I (0.938, 0.278, 0.316)
I (0.438, 0.722, 0.184)
I (0.195, 0.226, 0.556)
I (0.695, 0.774, 0.944)
I (0.805, 0.774, 0.444)
I (0.305, 0.226, 0.056)
I (0.333, 0.657, 0.425)
I (0.833, 0.343, 0.075)
I (0.667, 0.343, 0.575)
I (0.167, 0.657, 0.925)
N (0.114, 0.216, 0.741)
N (0.614, 0.784, 0.759)
N (0.886, 0.784, 0.259)
N (0.386, 0.216, 0.241)
N (0.192, 0.511, 0.746)
N (0.692, 0.489, 0.754)
N (0.808, 0.489, 0.254)
N (0.308, 0.511, 0.246)
N (0.145, 0.709, 0.501)
N (0.645, 0.291, 0.999)
N (0.855, 0.291, 0.499)
N (0.355, 0.709, 0.001)
N (0.081, 0.453, 0.444)
N (0.581, 0.547, 0.056)
N (0.919, 0.547, 0.556)
N (0.419, 0.453, 0.944)
N (0.370, 0.193, 0.489)
N (0.870, 0.807, 0.011)
N (0.630, 0.807, 0.511)
N (0.130, 0.193, 0.989)
N (0.431, 0.432, 0.557)
N (0.931, 0.568, 0.943)
N (0.569, 0.568, 0.443)
N (0.069, 0.432, 0.057)